[1]
This record from the Materials Project describes a relaxed structure of Cs3InBr6. The functional is r2SCAN.

Lattice parameters (Å, degrees): 8.5469 8.5469 8.5469 60.00 60.00 60.00
Closest atoms and distances in Å follow each position.
Element x y z (fractional)
Cs 0.0000 0.0000 0.0000  6 Br 3.36
Cs 0.2500 0.2500 0.2500  12 Br 4.29
Cs 0.7500 0.7500 0.7500  12 Br 4.29
In 0.5000 0.5000 0.5000  6 Br 2.68
Br 0.2781 0.2781 0.7219  1 In 2.68
Br 0.2781 0.7219 0.2781  1 In 2.68
Br 0.2781 0.7219 0.7219  1 In 2.68
Br 0.7219 0.2781 0.2781  1 In 2.68
Br 0.7219 0.2781 0.7219  1 In 2.68
Br 0.7219 0.7219 0.2781  1 In 2.68

symmetry = Fm-3m, No. 225
total moment = 0.0 μB per formula unit
V = 44.1 A^3/atom
ΔH_f (0 K) = -1.62 eV/atom
energy = -193.70 eV/cell


[2]
This record from the Materials Project describes a relaxed structure of Cs2LaBr5. The functional is r2SCAN.

Lattice parameters (Å, degrees): 14.4835 9.6644 9.0112 90.00 90.00 90.00
Closest atoms and distances in Å follow each position.
Element x y z (fractional)
Cs 0.1715 0.0050 0.0563  8 Br 3.59-3.88
Cs 0.1715 0.4950 0.0563  8 Br 3.59-3.88
Cs 0.3285 0.5050 0.5563  8 Br 3.59-3.88
Cs 0.3285 0.9950 0.5563  8 Br 3.59-3.88
Cs 0.6715 0.0050 0.4437  8 Br 3.59-3.88
Cs 0.6715 0.4950 0.4437  8 Br 3.59-3.88
Cs 0.8285 0.5050 0.9437  8 Br 3.59-3.88
Cs 0.8285 0.9950 0.9437  8 Br 3.59-3.88
La 0.0040 0.2500 0.5694  7 Br 2.96-3.10
La 0.4960 0.7500 0.0694  7 Br 2.96-3.10
La 0.5040 0.2500 0.9306  7 Br 2.96-3.10
La 0.9960 0.7500 0.4306  7 Br 2.96-3.10
Br 0.0123 0.2500 0.9014  1 La 2.99
Br 0.0714 0.5427 0.6600  2 La 3.08-3.10
Br 0.0714 0.9573 0.6600  2 La 3.08-3.10
Br 0.1723 0.2500 0.3823  1 La 2.96
Br 0.1950 0.7500 0.3470  1 La 2.98
Br 0.3050 0.2500 0.8470  1 La 2.98
Br 0.3277 0.7500 0.8823  1 La 2.96
Br 0.4286 0.0427 0.1600  2 La 3.08-3.10
Br 0.4286 0.4573 0.1600  2 La 3.08-3.10
Br 0.4877 0.7500 0.4014  1 La 2.99
Br 0.5123 0.2500 0.5986  1 La 2.99
Br 0.5714 0.5427 0.8400  2 La 3.08-3.10
Br 0.5714 0.9573 0.8400  2 La 3.08-3.10
Br 0.6723 0.2500 0.1177  1 La 2.96
Br 0.6950 0.7500 0.1530  1 La 2.98
Br 0.8050 0.2500 0.6530  1 La 2.98
Br 0.8277 0.7500 0.6177  1 La 2.96
Br 0.9286 0.0427 0.3400  2 La 3.08-3.10
Br 0.9286 0.4573 0.3400  2 La 3.08-3.10
Br 0.9877 0.7500 0.0986  1 La 2.99

symmetry = Pnma, No. 62
total moment = 0.0 μB per formula unit
V = 39.4 A^3/atom
ΔH_f (0 K) = -2.22 eV/atom
energy = -656.04 eV/cell


[3]
This record from the Materials Project describes a relaxed structure of CsLi2Br3. The functional is r2SCAN.

Lattice parameters (Å, degrees): 4.6798 5.6291 7.5227 111.58 107.98 90.02
Closest atoms and distances in Å follow each position.
Element x y z (fractional)
Cs 0.0000 0.0000 0.0000  8 Br 3.66-3.76, 2 Li 4.06-4.07
Li 0.3079 0.3143 0.6162  4 Br 2.54-2.80
Li 0.6972 0.6833 0.3841  4 Br 2.53-2.79
Br 0.2805 0.7763 0.5558  4 Li 2.59-2.89
Br 0.4998 0.4999 0.0007  2 Li 2.53-2.54
Br 0.7232 0.2222 0.4442  4 Li 2.60-2.89

symmetry = P1, No. 1
total moment = 0.0 μB per formula unit
V = 29.0 A^3/atom
ΔH_f (0 K) = -1.85 eV/atom
energy = -80.74 eV/cell


[4]
This record from the Materials Project describes a relaxed structure of Cs2LiBr3. The functional is r2SCAN.

Lattice parameters (Å, degrees): 12.3856 12.3856 8.1188 90.00 90.00 159.31
Closest atoms and distances in Å follow each position.
Element x y z (fractional)
Cs 0.0049 0.9951 0.7500  8 Br 3.64-3.76, 2 Cs 4.07
Cs 0.1767 0.8233 0.2500  6 Br 3.65-3.69
Cs 0.8233 0.1767 0.7500  6 Br 3.65-3.69
Cs 0.9951 0.0049 0.2500  8 Br 3.64-3.76, 2 Cs 4.07
Li 0.3508 0.6492 0.2500  4 Br 2.53-2.60
Li 0.6492 0.3508 0.7500  4 Br 2.53-2.60
Br 0.2044 0.7956 0.7500  2 Li 2.60
Br 0.4119 0.5881 0.5025  1 Li 2.53
Br 0.4119 0.5881 0.9975  1 Li 2.53
Br 0.5881 0.4119 0.0025  1 Li 2.53
Br 0.5881 0.4119 0.4975  1 Li 2.53
Br 0.7956 0.2044 0.2500  2 Li 2.60

symmetry = Cmcm, No. 63
total moment = 0.0 μB per formula unit
V = 36.7 A^3/atom
ΔH_f (0 K) = -1.94 eV/atom
energy = -208.00 eV/cell